(a)
W: optimized geometry, GGA-PBE.

Theoretical density in g/cm3: 18.854

Cell: 2.7604 2.7604 2.7604 Å, 109.47 109.47 109.47°
Last column: nearest neighbours and their distance in Å.
Element x y z (fractional)
W 0.0000 0.0000 0.0000  8 W 2.76

***

(b)
W: optimized geometry, GGA-PBE.

Theoretical density in g/cm3: 18.148

Cell: 2.8097 4.8639 4.9237 Å, 90.00 90.00 90.00°
Last column: nearest neighbours and their distance in Å.
Element x y z (fractional)
W 0.2068 0.4368 0.7500  8 W 2.70-2.94
W 0.2068 0.0632 0.2500  8 W 2.70-2.94
W 0.7932 0.9368 0.7500  8 W 2.70-2.94
W 0.7932 0.5632 0.2500  8 W 2.70-2.94

***

Relative energies, eV/atom: (a) 0.000; (b) 0.491.